1.
VASP calculation (PBE) on a geometry-optimized AlBiN2 structure.

Symmetry   Pna2_1
ΔE to the lowest computed polymorph   0.0 kJ/mol of formula units
Formation energy   -0.494 eV/atom
Size of the total moment   0.00 μB/f.u.

a b c (Å): 6.134 7.510 5.245
angles (deg): 90.00 90.00 90.00
Sites, in units of the cell vectors:
1 N 0.780 0.260 0.887
2 N 0.477 0.608 0.864
3 N 0.977 0.892 0.864
4 N 0.220 0.740 0.387
5 N 0.523 0.392 0.364
6 N 0.023 0.108 0.364
7 N 0.720 0.760 0.387
8 N 0.280 0.240 0.887
9 Al 0.525 0.370 0.000
10 Al 0.475 0.630 0.500
11 Al 0.025 0.130 0.000
12 Al 0.975 0.870 0.500
13 Bi 0.381 0.133 0.518
14 Bi 0.619 0.867 0.018
15 Bi 0.119 0.633 0.018
16 Bi 0.881 0.367 0.518

=====

2.
VASP calculation (PBE) on a geometry-optimized Li2H12C3SN6O7 structure.

Symmetry   C2/c
Formation energy   -1.000 eV/atom
Size of the total moment   0.00 μB/f.u.

a b c (Å): 9.869 9.869 8.115
angles (deg): 70.77 70.77 56.99
Sites, in units of the cell vectors:
1 H 0.813 0.078 0.703
2 H 0.645 0.760 0.096
3 H 0.925 0.443 0.986
4 H 0.113 0.264 0.501
5 H 0.076 0.135 0.299
6 H 0.495 0.768 0.385
7 H 0.924 0.865 0.701
8 H 0.264 0.113 0.001
9 H 0.557 0.075 0.514
10 H 0.887 0.736 0.499
11 H 0.232 0.505 0.115
12 H 0.736 0.887 0.999
13 H 0.135 0.076 0.799
14 H 0.505 0.232 0.615
15 H 0.078 0.813 0.203
16 H 0.760 0.645 0.596
17 H 0.355 0.240 0.904
18 H 0.240 0.355 0.404
19 H 0.075 0.557 0.014
20 H 0.443 0.925 0.486
21 H 0.187 0.922 0.297
22 H 0.768 0.495 0.885
23 H 0.865 0.924 0.201
24 H 0.922 0.187 0.797
25 Li 0.619 0.243 0.162
26 Li 0.381 0.757 0.838
27 Li 0.243 0.619 0.662
28 Li 0.757 0.381 0.338
29 N 0.911 0.963 0.732
30 N 0.666 0.848 0.102
31 N 0.485 0.879 0.373
32 N 0.963 0.911 0.232
33 N 0.121 0.515 0.127
34 N 0.089 0.037 0.268
35 N 0.515 0.121 0.627
36 N 0.879 0.485 0.873
37 N 0.334 0.152 0.898
38 N 0.152 0.334 0.398
39 N 0.848 0.666 0.602
40 N 0.037 0.089 0.768
41 O 0.397 0.956 0.752
42 O 0.570 0.581 0.713
43 O 0.816 0.184 0.250
44 O 0.690 0.332 0.594
45 O 0.956 0.397 0.252
46 O 0.044 0.603 0.748
47 O 0.310 0.668 0.406
48 O 0.419 0.430 0.787
49 O 0.184 0.816 0.750
50 O 0.430 0.419 0.287
51 O 0.332 0.690 0.094
52 O 0.581 0.570 0.213
53 O 0.668 0.310 0.906
54 O 0.603 0.044 0.248
55 C 0.049 0.951 0.750
56 C 0.928 0.585 0.741
57 C 0.415 0.072 0.759
58 C 0.072 0.415 0.259
59 C 0.585 0.928 0.241
60 C 0.951 0.049 0.250
61 S 0.586 0.414 0.750
62 S 0.414 0.586 0.250

=====

> size of the total moment of number 1 (AlBiN2)?

0.00 μB/f.u.

=====

> Which formula does entry 1 have?

AlBiN2

=====

> Look up the size of the total moment of the second one.

0.00 μB/f.u.

=====

> formation energy of number 2 (Li2H12C3SN6O7)?

-1.000 eV/atom